[1]
Mg2CoO4 | GGA+U | optimized geometry

abc: 5.946 8.409 5.946
angles: 90.00 90.00 90.00
Element x y z (fractional)
O 0.250 0.999 0.748
Mg 0.500 0.000 0.500
O 0.250 0.501 0.752
O 0.750 0.499 0.752
O 0.750 0.001 0.748
Co 0.250 0.125 0.000
O 0.998 0.251 0.000
O 0.502 0.249 0.500
O 0.002 0.751 0.500
O 0.002 0.749 0.000
O 0.750 0.499 0.248
O 0.750 0.001 0.252
Mg 0.000 0.000 0.500
Mg 0.250 0.750 0.750
O 0.502 0.251 0.000
Co 0.250 0.375 0.500
Mg 0.750 0.250 0.250
Co 0.750 0.625 0.500
Co 0.750 0.875 0.000
Mg 0.500 0.500 0.000
O 0.250 0.501 0.248
Mg 0.750 0.250 0.750
O 0.498 0.749 0.000
O 0.998 0.249 0.500
Mg 0.000 0.500 0.000
Mg 0.250 0.750 0.250
O 0.250 0.999 0.252
O 0.498 0.751 0.500

Calculated values
- DFT formation energy (meV/atom) = -2153
- total energy (eV/atom) = -5.827

[2]
Mg3Co2O7 | GGA+U | optimized geometry

abc: 9.091 9.091 5.188
angles: 90.00 90.00 148.27
Element x y z (fractional)
Co 0.353 0.150 0.751
O 0.690 0.424 0.951
O 0.138 0.987 0.061
Mg 0.228 0.228 0.321
O 0.936 0.342 0.793
O 0.620 0.620 0.197
Co 0.647 0.850 0.251
O 0.424 0.690 0.951
O 0.380 0.380 0.697
Mg 0.772 0.772 0.821
Co 0.150 0.353 0.751
Mg 0.949 0.565 0.674
Co 0.850 0.647 0.251
O 0.064 0.658 0.293
O 0.576 0.310 0.451
O 0.862 0.013 0.561
O 0.658 0.064 0.293
O 0.342 0.936 0.793
Mg 0.051 0.435 0.174
O 0.013 0.862 0.561
Mg 0.435 0.051 0.174
Mg 0.565 0.949 0.674
O 0.987 0.138 0.061
O 0.310 0.576 0.451

Calculated values
- DFT formation energy (meV/atom) = -1958
- energy relative to the lowest polymorph listed for this composition (meV per atom) = 47
- total energy (eV/atom) = -5.756

[3]
MgCo2O4 | GGA+U | optimized geometry

abc: 3.109 3.109 10.131
angles: 90.00 90.00 60.00
Element x y z (fractional)
Mg 0.667 0.667 0.289
O 0.667 0.667 0.594
Co 0.000 0.000 0.535
O 0.333 0.333 0.373
O 0.667 0.667 0.099
O 0.333 0.333 0.907
Co 0.000 0.000 0.990

Calculated values
- DFT formation energy (meV/atom) = -1427
- energy relative to the lowest polymorph listed for this composition (meV per atom) = 420
- total energy (eV/atom) = -5.653

[4]
MgCo3O7 | GGA+U | optimized geometry

abc: 13.433 6.664 11.186
angles: 77.19 90.00 90.00
Element x y z (fractional)
Co 0.674 0.370 0.083
O 0.995 0.767 0.037
Co 0.016 0.602 0.690
O 0.695 0.401 0.450
O 0.647 0.019 0.367
Co 0.647 0.880 0.019
O 0.495 0.233 0.463
O 0.505 0.767 0.537
O 0.979 0.741 0.794
O 0.005 0.233 0.963
Co 0.759 0.015 0.249
Co 0.211 0.494 0.700
O 0.805 0.401 0.950
Co 0.353 0.120 0.981
Co 0.853 0.880 0.519
Co 0.879 0.169 0.982
Co 0.789 0.506 0.300
O 0.271 0.333 0.948
O 0.147 0.981 0.133
O 0.527 0.790 0.056
Co 0.711 0.506 0.800
O 0.940 0.368 0.673
O 0.333 0.932 0.883
O 0.861 0.011 0.137
Co 0.621 0.169 0.482
Co 0.741 0.015 0.749
O 0.238 0.700 0.782
O 0.600 0.593 0.710
O 0.771 0.667 0.552
Mg 0.009 0.089 0.769
Co 0.984 0.398 0.310
Mg 0.491 0.089 0.269
Mg 0.131 0.302 0.054
O 0.366 0.024 0.141
Co 0.241 0.985 0.751
O 0.353 0.981 0.633
O 0.882 0.427 0.421
O 0.400 0.407 0.290
O 0.021 0.259 0.206
O 0.762 0.300 0.218
O 0.973 0.790 0.556
Co 0.484 0.602 0.190
Mg 0.369 0.302 0.554
O 0.228 0.258 0.211
O 0.560 0.368 0.173
O 0.382 0.573 0.079
O 0.833 0.068 0.617
O 0.195 0.599 0.050
O 0.479 0.259 0.706
Co 0.147 0.120 0.481
O 0.618 0.427 0.921
O 0.139 0.989 0.863
Co 0.826 0.370 0.583
O 0.305 0.599 0.550
Co 0.289 0.494 0.200
O 0.440 0.632 0.827
O 0.361 0.989 0.363
O 0.729 0.667 0.052
O 0.900 0.593 0.210
O 0.521 0.741 0.294
O 0.772 0.742 0.789
O 0.262 0.700 0.282
Co 0.379 0.831 0.518
Co 0.326 0.630 0.917
Co 0.174 0.630 0.417
Mg 0.631 0.698 0.446
O 0.853 0.019 0.867
O 0.134 0.024 0.641
O 0.027 0.210 0.444
Mg 0.991 0.911 0.231
O 0.639 0.011 0.637
O 0.634 0.976 0.859
O 0.728 0.742 0.289
Mg 0.869 0.698 0.946
O 0.866 0.976 0.359
Co 0.121 0.831 0.018
Co 0.516 0.398 0.810
Co 0.259 0.985 0.251
O 0.738 0.300 0.718
O 0.272 0.258 0.711
O 0.167 0.932 0.383
O 0.667 0.068 0.117
O 0.060 0.632 0.327
O 0.118 0.573 0.579
Mg 0.509 0.911 0.731
O 0.473 0.210 0.944
O 0.100 0.407 0.790
O 0.229 0.333 0.448

Calculated values
- DFT formation energy (meV/atom) = -1222
- energy relative to the lowest polymorph listed for this composition (meV per atom) = 0
- total energy (eV/atom) = -5.570

Q: Look up the DFT formation energy of the third one.
A: -1427 meV/atom

Q: total energy of number 1 (Mg2CoO4)?
A: -5.827 eV/atom